(1)
Here is Li7Co5O12 after structural relaxation from Materials Project. Energies are from PBE+U.

Properties
Total DFT energy (no corrections), eV per atom: -5.5414
Calculated volume, Å³ per cell: 208
Total magnetic moment, μB/atom: 0.0833

a b c (Å): 2.8785 7.6539 9.7824
angles (deg): 100.47 90.39 100.35
With the nearest neighbours (Å) after each atom.
Positions (direct):
O (0.2914, 0.0828, 0.6211)  3 Co 2.01-2.04, 3 Li 2.06-2.13
O (0.3806, 0.2595, 0.3878)  3 Co 1.93-2.04, 3 Li 2.13-2.15
O (0.0402, 0.5805, 0.3833)  3 Co 1.99-2.02, 3 Li 2.06-2.15
O (0.8730, 0.2354, 0.8911)  2 Co 1.88-1.95, 2 Li 2.04-2.08
O (0.9598, 0.4195, 0.6167)  3 Co 1.99-2.02, 3 Li 2.06-2.15
O (0.6194, 0.7405, 0.6122)  3 Co 1.93-2.04, 3 Li 2.13-2.15
O (0.5522, 0.6093, 0.8845)  1 Co 1.79
O (0.7086, 0.9172, 0.3789)  3 Co 2.01-2.04, 3 Li 2.06-2.13
O (0.2158, 0.9200, 0.8959)  3 Co 1.95-2.00, 1 Li 2.17
O (0.4478, 0.3907, 0.1155)  1 Co 1.79
O (0.1270, 0.7646, 0.1089)  2 Co 1.88-1.95, 2 Li 2.04-2.08
O (0.7842, 0.0800, 0.1041)  3 Co 1.95-2.00, 1 Li 2.17
Li (0.2495, 0.9997, 0.2515)  6 O 2.04-2.20
Li (0.0000, 0.5000, 0.0000)  6 O 2.08-2.10
Li (0.9210, 0.3363, 0.2478)  6 O 2.02-2.17
Li (0.4213, 0.3406, 0.7556)  6 O 2.13-2.20
Li (0.0790, 0.6637, 0.7522)  6 O 2.02-2.17
Li (0.7505, 0.0003, 0.7485)  6 O 2.04-2.20
Li (0.5787, 0.6594, 0.2444)  6 O 2.13-2.20
Co (0.5000, 0.5000, 0.5000)  6 O 1.93-2.01
Co (0.6705, 0.8258, 0.9975)  6 O 1.79-2.00
Co (0.3295, 0.1742, 0.0025)  6 O 1.79-2.00
Co (0.8345, 0.1669, 0.5023)  6 O 2.01-2.04
Co (0.1655, 0.8331, 0.4977)  6 O 2.01-2.04


(2)
Here is Mn2NbNi3P6O24 after structural relaxation from Materials Project. Energies are from PBE+U.

Properties
Total DFT energy (no corrections), eV per atom: -7.0305
Calculated volume, Å³ per cell: 463
Total magnetic moment, μB/atom: 0.3611

a b c (Å): 8.6623 8.6623 8.6623
angles (deg): 60.37 60.37 60.37
With the nearest neighbours (Å) after each atom.
Positions (direct):
P (0.5497, 0.9527, 0.2527)  4 O 1.52-1.58
P (0.2527, 0.5497, 0.9527)  4 O 1.52-1.58
P (0.9527, 0.2527, 0.5497)  4 O 1.52-1.58
P (0.7441, 0.4604, 0.0449)  4 O 1.51-1.60
P (0.0449, 0.7441, 0.4604)  4 O 1.51-1.60
P (0.4604, 0.0449, 0.7441)  4 O 1.51-1.60
Nb (0.1438, 0.1438, 0.1438)  6 O 1.94-2.06
Mn (0.9944, 0.9944, 0.9944)  6 O 2.17-2.36
Mn (0.4993, 0.4993, 0.4993)  6 O 2.19-2.20
O (0.6112, 0.0092, 0.8103)  1 P 1.52
O (0.6865, 0.4900, 0.8914)  1 P 1.51
O (0.5100, 0.1070, 0.3165)  1 P 1.52
O (0.9374, 0.0896, 0.7389)  1 P 1.54
O (0.5884, 0.4410, 0.2424)  1 P 1.56
O (0.8103, 0.6112, 0.0092)  1 P 1.52
O (0.7597, 0.4085, 0.5517)  1 P 1.54
O (0.0896, 0.7389, 0.9374)  1 P 1.54
O (0.8914, 0.6865, 0.4900)  1 P 1.51
O (0.0088, 0.1829, 0.3854)  1 P 1.58
O (0.9091, 0.2607, 0.0675)  1 P 1.60
O (0.4900, 0.8914, 0.6865)  1 P 1.51
O (0.0092, 0.8103, 0.6112)  1 P 1.52
O (0.3854, 0.0088, 0.1829)  1 P 1.58
O (0.4410, 0.2424, 0.5884)  1 P 1.56
O (0.1070, 0.3165, 0.5100)  1 P 1.52
O (0.2607, 0.0675, 0.9091)  1 P 1.60
O (0.3165, 0.5100, 0.1070)  1 P 1.52
O (0.4085, 0.5517, 0.7597)  1 P 1.54
O (0.0675, 0.9091, 0.2607)  1 P 1.60
O (0.1829, 0.3854, 0.0088)  1 P 1.58
O (0.7389, 0.9374, 0.0896)  1 P 1.54
O (0.2424, 0.5884, 0.4410)  1 P 1.56
O (0.5517, 0.7597, 0.4085)  1 P 1.54
Ni (0.8546, 0.8546, 0.8546)  6 O 1.97-2.09
Ni (0.6427, 0.6427, 0.6427)  6 O 2.01-2.13
Ni (0.3564, 0.3564, 0.3564)  6 O 2.00-2.08


(3)
Here is K2FeSnP3O12 after structural relaxation from Materials Project. Energies are from PBE+U.

Properties
Total DFT energy (no corrections), eV per atom: -6.7214
Calculated volume, Å³ per cell: 1029
Total magnetic moment, μB/atom: 0.2632

a b c (Å): 10.0948 10.0948 10.0948
angles (deg): 90.00 90.00 90.00
With the nearest neighbours (Å) after each atom.
Positions (direct):
Sn (0.9139, 0.0861, 0.5861)  6 O 2.05-2.07
Sn (0.0861, 0.5861, 0.9139)  6 O 2.05-2.07
Sn (0.5861, 0.9139, 0.0861)  6 O 2.05-2.07
Sn (0.4139, 0.4139, 0.4139)  6 O 2.05-2.07
O (0.8134, 0.2614, 0.9181)  1 P 1.54
O (0.7614, 0.5819, 0.1866)  1 P 1.54
O (0.4810, 0.4508, 0.7920)  1 P 1.53
O (0.0819, 0.3134, 0.2386)  1 P 1.54
O (0.5126, 0.8074, 0.2447)  1 P 1.57
O (0.1563, 0.4980, 0.0832)  1 P 1.56
O (0.0832, 0.1563, 0.4980)  1 P 1.56
O (0.1866, 0.7614, 0.5819)  1 P 1.54
O (0.2447, 0.5126, 0.8074)  1 P 1.57
O (0.7386, 0.4181, 0.6866)  1 P 1.54
O (0.5020, 0.5832, 0.3437)  1 P 1.56
O (0.9181, 0.8134, 0.2614)  1 P 1.54
O (0.0492, 0.2080, 0.9810)  1 P 1.53
O (0.9508, 0.7080, 0.5190)  1 P 1.53
O (0.2080, 0.9810, 0.0492)  1 P 1.53
O (0.9980, 0.4168, 0.8437)  1 P 1.56
O (0.3074, 0.2553, 0.4874)  1 P 1.57
O (0.5492, 0.2920, 0.0190)  1 P 1.53
O (0.9874, 0.1926, 0.7447)  1 P 1.57
O (0.8437, 0.9980, 0.4168)  1 P 1.56
O (0.2553, 0.4874, 0.3074)  1 P 1.57
O (0.7447, 0.9874, 0.1926)  1 P 1.57
O (0.5190, 0.9508, 0.7080)  1 P 1.53
O (0.3437, 0.5020, 0.5832)  1 P 1.56
O (0.2920, 0.0190, 0.5492)  1 P 1.53
O (0.6866, 0.7386, 0.4181)  1 P 1.54
O (0.9168, 0.6563, 0.0020)  1 P 1.56
O (0.5819, 0.1866, 0.7614)  1 P 1.54
O (0.4508, 0.7920, 0.4810)  1 P 1.53
O (0.0126, 0.6926, 0.7553)  1 P 1.57
O (0.4980, 0.0832, 0.1563)  1 P 1.56
O (0.0190, 0.5492, 0.2920)  1 P 1.53
O (0.1926, 0.7447, 0.9874)  1 P 1.57
O (0.6926, 0.7553, 0.0126)  1 P 1.57
O (0.4168, 0.8437, 0.9980)  1 P 1.56
O (0.8074, 0.2447, 0.5126)  1 P 1.57
O (0.2386, 0.0819, 0.3134)  1 P 1.54
O (0.3134, 0.2386, 0.0819)  1 P 1.54
O (0.7920, 0.4810, 0.4508)  1 P 1.53
O (0.6563, 0.0020, 0.9168)  1 P 1.56
O (0.4874, 0.3074, 0.2553)  1 P 1.57
O (0.0020, 0.9168, 0.6563)  1 P 1.56
O (0.4181, 0.6866, 0.7386)  1 P 1.54
O (0.2614, 0.9181, 0.8134)  1 P 1.54
O (0.7080, 0.5190, 0.9508)  1 P 1.53
O (0.5832, 0.3437, 0.5020)  1 P 1.56
O (0.7553, 0.0126, 0.6926)  1 P 1.57
O (0.9810, 0.0492, 0.2080)  1 P 1.53
K (0.4372, 0.5628, 0.0628)  9 O 2.92-3.17
K (0.7981, 0.2981, 0.2019)  9 O 2.89-3.18
K (0.0628, 0.4372, 0.5628)  9 O 2.92-3.17
K (0.2019, 0.7981, 0.2981)  9 O 2.89-3.18
K (0.5628, 0.0628, 0.4372)  9 O 2.92-3.17
K (0.2981, 0.2019, 0.7981)  9 O 2.89-3.18
K (0.9372, 0.9372, 0.9372)  9 O 2.92-3.17
K (0.7019, 0.7019, 0.7019)  9 O 2.89-3.18
P (0.4595, 0.2291, 0.1242)  4 O 1.53-1.57
P (0.3758, 0.5405, 0.7291)  4 O 1.53-1.57
P (0.2291, 0.1242, 0.4595)  4 O 1.53-1.57
P (0.5405, 0.7291, 0.3758)  4 O 1.53-1.57
P (0.2709, 0.8758, 0.9595)  4 O 1.53-1.57
P (0.7709, 0.6242, 0.0405)  4 O 1.53-1.57
P (0.1242, 0.4595, 0.2291)  4 O 1.53-1.57
P (0.7291, 0.3758, 0.5405)  4 O 1.53-1.57
P (0.6242, 0.0405, 0.7709)  4 O 1.53-1.57
P (0.0405, 0.7709, 0.6242)  4 O 1.53-1.57
P (0.8758, 0.9595, 0.2709)  4 O 1.53-1.57
P (0.9595, 0.2709, 0.8758)  4 O 1.53-1.57
Fe (0.1466, 0.1466, 0.1466)  6 O 2.03-2.04
Fe (0.8534, 0.6466, 0.3534)  6 O 2.03-2.04
Fe (0.3534, 0.8534, 0.6466)  6 O 2.03-2.04
Fe (0.6466, 0.3534, 0.8534)  6 O 2.03-2.04


(4)
Here is Fe4SiO9 after structural relaxation from Materials Project. Energies are from PBE+U.

Properties
Total DFT energy (no corrections), eV per atom: -6.6210
Calculated volume, Å³ per cell: 576
Total magnetic moment, μB/atom: 1.2857

a b c (Å): 5.3294 5.3294 23.4320
angles (deg): 90.00 90.00 120.00
With the nearest neighbours (Å) after each atom.
Positions (direct):
Si (0.1098, 0.8852, 0.2970)  4 O 1.62-1.70
Si (0.7755, 0.8902, 0.9636)  4 O 1.62-1.70
Si (0.1148, 0.2245, 0.6303)  4 O 1.62-1.70
Fe (0.7736, 0.2228, 0.5034)  5 O 1.96-2.11
Fe (0.4434, 0.8924, 0.8382)  5 O 1.89-2.10
Fe (0.1156, 0.2226, 0.8376)  5 O 1.94-2.09
Fe (0.7772, 0.5508, 0.8367)  5 O 1.96-2.11
Fe (0.4432, 0.5525, 0.3031)  4 O 1.83-1.99
Fe (0.1076, 0.5510, 0.1715)  5 O 1.89-2.10
Fe (0.4490, 0.5566, 0.5048)  5 O 1.89-2.10
Fe (0.1092, 0.5568, 0.9697)  4 O 1.83-1.99
Fe (0.4475, 0.8908, 0.6364)  4 O 1.83-1.99
Fe (0.1070, 0.8844, 0.5043)  5 O 1.94-2.09
Fe (0.4492, 0.2264, 0.1700)  5 O 1.96-2.11
Fe (0.7774, 0.8930, 0.1709)  5 O 1.94-2.09
O (0.4503, 0.5800, 0.8012)  3 Fe 1.89-2.03
O (0.1121, 0.2221, 0.5576)  1 Si 1.70
O (0.1517, 0.9593, 0.6539)  1 Si 1.62
O (0.4394, 0.8871, 0.5517)  4 Fe 1.99-2.11
O (0.7779, 0.8900, 0.8909)  1 Si 1.70
O (0.4252, 0.2168, 0.4670)  3 Fe 1.94-2.03
O (0.4477, 0.5606, 0.2183)  4 Fe 1.99-2.11
O (0.7839, 0.8972, 0.4665)  3 Fe 1.96-2.01
O (0.1297, 0.5497, 0.4679)  3 Fe 1.89-2.03
O (0.1100, 0.8879, 0.2242)  1 Si 1.70
O (0.8076, 0.8483, 0.3205)  1 Si 1.62
O (0.4719, 0.8547, 0.9860)  1 Si 1.62
O (0.0407, 0.1924, 0.9872)  1 Si 1.62
O (0.4200, 0.8703, 0.1345)  3 Fe 1.89-2.03
O (0.7939, 0.2314, 0.2105)  3 Fe 1.92-2.06
O (0.8074, 0.6178, 0.9846)  1 Si 1.62
O (0.7916, 0.5748, 0.1336)  3 Fe 1.94-2.03
O (0.1028, 0.8867, 0.7999)  3 Fe 1.96-2.01
O (0.4375, 0.2061, 0.8771)  3 Fe 1.92-2.06
O (0.7832, 0.2084, 0.8003)  3 Fe 1.94-2.03
O (0.3822, 0.1896, 0.3179)  1 Si 1.62
O (0.3828, 0.5281, 0.6527)  1 Si 1.62
O (0.1453, 0.6172, 0.3194)  1 Si 1.62
O (0.1129, 0.5523, 0.8850)  4 Fe 1.99-2.11
O (0.1133, 0.2161, 0.1332)  3 Fe 1.96-2.01
O (0.7686, 0.5625, 0.5438)  3 Fe 1.92-2.06
O (0.8104, 0.1926, 0.6512)  1 Si 1.62


(5)
Here is NaLi2NiPCO7 after structural relaxation from Materials Project. Energies are from PBE+U.

Properties
Total DFT energy (no corrections), eV per atom: -6.3367
Calculated volume, Å³ per cell: 561

a b c (Å): 5.0680 13.1425 8.4625
angles (deg): 90.01 84.90 90.00
With the nearest neighbours (Å) after each atom.
Positions (direct):
O (0.3891, 0.6444, 0.0926)  1 C 1.29
O (0.5767, 0.3894, 0.5565)  1 P 1.56
O (0.8437, 0.2193, 0.3088)  1 P 1.56
O (0.0624, 0.1315, 0.9261)  1 C 1.30
O (0.6110, 0.8946, 0.9074)  1 C 1.29
O (0.9376, 0.8815, 0.0739)  1 C 1.30
O (0.1487, 0.8706, 0.4279)  1 P 1.54
O (0.5768, 0.8894, 0.5563)  1 P 1.56
O (0.4852, 0.1199, 0.8304)  1 C 1.31
O (0.1486, 0.3707, 0.4280)  1 P 1.54
O (0.2022, 0.7842, 0.6973)  1 P 1.56
O (0.7977, 0.5342, 0.3029)  1 P 1.56
O (0.5147, 0.3698, 0.1696)  1 C 1.31
O (0.2022, 0.2843, 0.6972)  1 P 1.56
O (0.8514, 0.6208, 0.5720)  1 P 1.54
O (0.0625, 0.6314, 0.9261)  1 C 1.30
O (0.4232, 0.1394, 0.4436)  1 P 1.56
O (0.3890, 0.1445, 0.0926)  1 C 1.29
O (0.9375, 0.3814, 0.0740)  1 C 1.30
O (0.7977, 0.0342, 0.3028)  1 P 1.56
O (0.6110, 0.3946, 0.9075)  1 C 1.29
O (0.1563, 0.9693, 0.6911)  1 P 1.56
O (0.8438, 0.7193, 0.3087)  1 P 1.56
O (0.8513, 0.1208, 0.5721)  1 P 1.54
O (0.4232, 0.6395, 0.4436)  1 P 1.56
O (0.4854, 0.6199, 0.8304)  1 C 1.31
O (0.1562, 0.4693, 0.6912)  1 P 1.56
O (0.5148, 0.8698, 0.1695)  1 C 1.31
P (0.7301, 0.1281, 0.4117)  4 O 1.54-1.56
P (0.7302, 0.6280, 0.4117)  4 O 1.54-1.56
P (0.2698, 0.3780, 0.5883)  4 O 1.54-1.56
P (0.2699, 0.8780, 0.5882)  4 O 1.54-1.56
Ni (0.7897, 0.3757, 0.3368)  5 O 2.04-2.10
Ni (0.2102, 0.6258, 0.6633)  5 O 2.04-2.10
Ni (0.7900, 0.8757, 0.3366)  6 O 2.04-2.28
Ni (0.2101, 0.1258, 0.6632)  5 O 2.04-2.10
C (0.6891, 0.8821, 0.0473)  3 O 1.29-1.31
C (0.3108, 0.1321, 0.9527)  3 O 1.29-1.31
C (0.6891, 0.3821, 0.0474)  3 O 1.29-1.31
C (0.3110, 0.6321, 0.9527)  3 O 1.29-1.31
Li (0.2640, 0.7474, 0.2769)  5 O 2.11-2.20
Li (0.2139, 0.8869, 0.8978)  4 O 1.95-2.17
Li (0.7362, 0.9975, 0.7232)  5 O 2.11-2.21
Li (0.7362, 0.4976, 0.7232)  5 O 2.11-2.21
Li (0.2139, 0.3869, 0.8979)  4 O 1.95-2.17
Li (0.7862, 0.6369, 0.1021)  4 O 1.95-2.17
Li (0.2638, 0.2474, 0.2768)  5 O 2.11-2.20
Li (0.7861, 0.1369, 0.1022)  4 O 1.95-2.17
Na (0.7278, 0.2610, 0.7332)  5 O 2.33-2.42
Na (0.2720, 0.0108, 0.2668)  5 O 2.33-2.43
Na (0.2720, 0.5109, 0.2669)  5 O 2.33-2.43
Na (0.7279, 0.7610, 0.7331)  5 O 2.33-2.42


(6)
Here is Mn2OF3 after structural relaxation from Materials Project. Energies are from PBE+U.

Properties
Total DFT energy (no corrections), eV per atom: -6.5400
Calculated volume, Å³ per cell: 298
Total magnetic moment, μB/atom: 1.4999

a b c (Å): 4.7691 5.7096 11.0417
angles (deg): 82.82 90.00 90.00
With the nearest neighbours (Å) after each atom.
Positions (direct):
F (0.8071, 0.9741, 0.1686)  3 Mn 2.06-2.15
F (0.1994, 0.7633, 0.5867)  3 Mn 2.11-2.26
F (0.6844, 0.4645, 0.1740)  3 Mn 2.09-2.11
F (0.3156, 0.5355, 0.8260)  3 Mn 2.09-2.11
F (0.1844, 0.5355, 0.3260)  3 Mn 2.09-2.11
F (0.3071, 0.0259, 0.3314)  3 Mn 2.06-2.15
F (0.1929, 0.0259, 0.8314)  3 Mn 2.06-2.15
F (0.3006, 0.7633, 0.0867)  3 Mn 2.11-2.26
F (0.8156, 0.4645, 0.6740)  3 Mn 2.09-2.11
F (0.8006, 0.2367, 0.4133)  3 Mn 2.11-2.26
F (0.6929, 0.9741, 0.6686)  3 Mn 2.06-2.15
F (0.6994, 0.2367, 0.9133)  3 Mn 2.11-2.26
O (0.2033, 0.2640, 0.0619)  3 Mn 1.98-2.06
O (0.2967, 0.2640, 0.5619)  3 Mn 1.98-2.06
O (0.7967, 0.7360, 0.9381)  3 Mn 1.98-2.06
O (0.7033, 0.7360, 0.4381)  3 Mn 1.98-2.06
Mn (0.5323, 0.7398, 0.2667)  1 O 2.06, 5 F 2.08-2.26
Mn (0.9677, 0.7398, 0.7667)  1 O 2.06, 5 F 2.08-2.26
Mn (0.0000, 0.0000, 0.0000)  2 O 1.98, 4 F 2.06-2.12
Mn (0.0323, 0.2602, 0.2333)  1 O 2.06, 5 F 2.08-2.26
Mn (0.5000, 0.0000, 0.5000)  2 O 1.98, 4 F 2.06-2.12
Mn (0.5000, 0.5000, 0.0000)  2 O 2.01, 4 F 2.10-2.11
Mn (0.4677, 0.2602, 0.7333)  1 O 2.06, 5 F 2.08-2.26
Mn (0.0000, 0.5000, 0.5000)  2 O 2.01, 4 F 2.10-2.11


Q: Among the records above, which one has the highest total DFT energy (no corrections)?
A: Li7Co5O12